P | ## Ca2SbWO6 (PBE with a Hubbard U)

Data for a geometry-optimized Ca2SbWO6 structure.

Lattice parameters (Å, degrees): 5.931 5.931 5.931 60.00 60.00 60.00
Atoms (fractional coordinates):
O1 0.736 0.736 0.264
O2 0.264 0.736 0.736
O3 0.736 0.264 0.736
O4 0.264 0.264 0.736
O5 0.736 0.264 0.264
O6 0.264 0.736 0.264
W1 0.500 0.500 0.500
Sb1 0.000 0.000 0.000
Ca1 0.750 0.750 0.750
Ca2 0.250 0.250 0.250

Calculated values
space-group type	Fm-3m, No. 225

Q | ## Ca2SbWO6 (PBE with a Hubbard U)

Data for a geometry-optimized Ca2SbWO6 structure.

Lattice parameters (Å, degrees): 5.658 5.946 6.098 72.95 66.06 64.62
Atoms (fractional coordinates):
O1 0.292 0.660 0.225
O2 0.862 0.214 0.291
O3 0.082 0.704 0.841
O4 0.706 0.171 0.913
O5 0.735 0.775 0.331
O6 0.291 0.069 0.852
Sb1 0.530 0.536 0.434
W1 0.997 0.957 0.041
Ca1 0.250 0.351 0.078
Ca2 0.758 0.915 0.655

Calculated values
space-group type	P1, No. 1

It is Q that is the most stable of them.

P | ## Li3MnP2O8 (PBE with a Hubbard U)

Data for a geometry-optimized Li3MnP2O8 structure.

Lattice parameters (Å, degrees): 4.790 11.789 10.231 91.61 88.09 90.64
Atoms (fractional coordinates):
O1 0.784 0.777 0.657
O2 0.737 0.990 0.163
O3 0.750 0.782 0.176
O4 0.199 0.125 0.555
O5 0.263 0.010 0.837
O6 0.717 0.624 0.883
O7 0.801 0.875 0.445
O8 0.755 0.122 0.415
O9 0.283 0.376 0.117
O10 0.801 0.375 0.445
O11 0.212 0.515 0.344
O12 0.245 0.378 0.585
O13 0.737 0.490 0.163
O14 0.215 0.223 0.343
O15 0.788 0.485 0.656
O16 0.687 0.869 0.953
O17 0.717 0.124 0.883
O18 0.755 0.622 0.415
O19 0.263 0.510 0.837
O20 0.750 0.282 0.176
O21 0.199 0.625 0.555
O22 0.212 0.015 0.344
O23 0.313 0.131 0.047
O24 0.788 0.985 0.656
O25 0.785 0.276 0.657
O26 0.687 0.369 0.953
O27 0.245 0.878 0.585
O28 0.313 0.631 0.047
O29 0.283 0.876 0.117
O30 0.215 0.723 0.343
O31 0.250 0.218 0.824
O32 0.250 0.718 0.824
Li1 0.100 0.871 0.936
Li2 0.100 0.371 0.936
Li3 0.512 0.874 0.773
Li4 0.500 0.500 0.500
Li5 0.488 0.126 0.227
Li6 0.900 0.129 0.064
Li7 0.900 0.629 0.064
Li8 0.500 0.000 0.500
Li9 0.500 0.250 0.500
Li10 0.500 0.750 0.500
Li11 0.488 0.626 0.227
Li12 0.512 0.374 0.773
P1 0.392 0.619 0.902
P2 0.607 0.381 0.098
P3 0.929 0.877 0.586
P4 0.607 0.881 0.098
P5 0.071 0.123 0.414
P6 0.393 0.119 0.902
P7 0.929 0.377 0.586
P8 0.071 0.623 0.414
Mn1 0.025 0.379 0.276
Mn2 0.975 0.621 0.724
Mn3 0.975 0.120 0.724
Mn4 0.025 0.880 0.276

Q | ## Li3MnP2O8 (PBE with a Hubbard U)

Data for a geometry-optimized Li3MnP2O8 structure.

Lattice parameters (Å, degrees): 8.451 8.451 8.451 64.27 64.27 64.27
Atoms (fractional coordinates):
O1 0.074 0.253 0.905
O2 0.403 0.765 0.554
O3 0.253 0.905 0.074
O4 0.741 0.098 0.929
O5 0.896 0.471 0.688
O6 0.098 0.929 0.741
O7 0.522 0.307 0.113
O8 0.176 0.991 0.390
O9 0.113 0.522 0.307
O10 0.307 0.113 0.522
O11 0.765 0.554 0.403
O12 0.905 0.074 0.253
O13 0.390 0.176 0.991
O14 0.806 0.023 0.608
O15 0.471 0.688 0.896
O16 0.599 0.247 0.425
O17 0.247 0.425 0.599
O18 0.929 0.741 0.098
O19 0.554 0.403 0.765
O20 0.991 0.390 0.176
O21 0.425 0.599 0.247
O22 0.608 0.806 0.023
O23 0.688 0.896 0.471
O24 0.023 0.608 0.806
Li1 0.298 0.645 0.827
Li2 0.150 0.747 0.346
Li3 0.645 0.827 0.298
Li4 0.997 0.997 0.997
Li5 0.509 0.509 0.509
Li6 0.747 0.346 0.150
Li7 0.346 0.150 0.747
Li8 0.827 0.298 0.645
Li9 0.651 0.651 0.651
P1 0.446 0.748 0.052
P2 0.052 0.446 0.748
P3 0.248 0.950 0.549
P4 0.748 0.052 0.446
P5 0.549 0.248 0.950
P6 0.950 0.549 0.248
Mn1 0.854 0.854 0.854
Mn2 0.356 0.356 0.356
Mn3 0.145 0.145 0.145

Calculated values
space-group type	R3, No. 146

R | ## Li3MnP2O8 (PBE with a Hubbard U)

Data for a geometry-optimized Li3MnP2O8 structure.

Lattice parameters (Å, degrees): 7.686 7.648 11.079 74.68 76.93 103.83
Atoms (fractional coordinates):
O1 0.792 0.320 0.166
O2 0.502 0.253 0.447
O3 0.695 0.753 0.339
O4 0.710 0.456 0.584
O5 0.936 0.686 0.117
O6 0.564 0.814 0.883
O7 0.210 0.956 0.584
O8 0.791 0.555 0.959
O9 0.195 0.253 0.339
O10 0.990 0.461 0.343
O11 0.436 0.186 0.117
O12 0.076 0.009 0.181
O13 0.209 0.445 0.041
O14 0.998 0.247 0.553
O15 0.290 0.544 0.416
O16 0.510 0.039 0.657
O17 0.010 0.539 0.657
O18 0.208 0.680 0.834
O19 0.490 0.961 0.343
O20 0.291 0.055 0.959
O21 0.805 0.747 0.661
O22 0.305 0.247 0.661
O23 0.708 0.180 0.834
O24 0.424 0.491 0.819
O25 0.064 0.314 0.883
O26 0.498 0.747 0.553
O27 0.709 0.945 0.041
O28 0.292 0.820 0.166
O29 0.002 0.753 0.447
O30 0.576 0.509 0.181
O31 0.790 0.044 0.416
O32 0.924 0.991 0.819
Mn1 0.524 0.780 0.717
Mn2 0.976 0.720 0.283
Mn3 0.024 0.280 0.717
Mn4 0.476 0.220 0.283
P1 0.133 0.387 0.410
P2 0.282 0.022 0.103
P3 0.367 0.113 0.590
P4 0.718 0.978 0.897
P5 0.633 0.887 0.410
P6 0.782 0.522 0.103
P7 0.867 0.613 0.590
P8 0.218 0.478 0.897
Li1 0.750 0.250 0.000
Li2 0.500 0.500 0.000
Li3 0.250 0.750 0.500
Li4 0.487 0.248 0.784
Li5 0.000 0.000 0.000
Li6 0.000 0.000 0.500
Li7 0.250 0.750 0.000
Li8 0.750 0.250 0.500
Li9 0.513 0.752 0.216
Li10 0.987 0.748 0.784
Li11 0.500 0.500 0.500
Li12 0.013 0.252 0.216

It is R that is the most stable of them.